Density functional theory data (PBE) for a relaxed structure of HoThOs2.

Computed properties:
**Space-group type**: Fm-3m
**Calculated total energy**: -8.801 eV per atom

Cell and atoms, written as CIF:
```
data_HoThOs2
_chemical_formula_sum 'Ho1 Th1 Os2'
_cell_length_a 4.9313
_cell_length_b 4.9313
_cell_length_c 4.9313
_cell_angle_alpha 60.00
_cell_angle_beta 60.00
_cell_angle_gamma 60.00
_symmetry_space_group_name_H-M 'P 1'
_symmetry_Int_Tables_number 1
_symmetry_space_group_name_Hall 'P 1'
loop_
_atom_site_label
_atom_site_fract_x
_atom_site_fract_y
_atom_site_fract_z
Os1 0.2500 0.2500 0.2500
Th1 0.0000 0.0000 0.0000
Ho1 0.5000 0.5000 0.5000
Os2 0.7500 0.7500 0.7500
```